Record 1
The following is a PBE calculation of a relaxed structure of ZnH2O2, from the Materials Project.

Cell: 3.2393 3.2393 4.5160 Å, 90.00 90.00 120.00°
Sites, in units of the cell vectors:
Zn: 0.0000 0.0000 0.0000
H: 0.3333 0.6667 0.4483
H: 0.6667 0.3333 0.5517
O: 0.3333 0.6667 0.2322
O: 0.6667 0.3333 0.7678

Values from the calculation:
Volume, Å³/f.u.: 41.0
Energy with MP2020 corrections, eV per atom: -4.992
ρ, g cm⁻³: 4.023
E_form, meV/atom: -1404
E, eV per atom: -4.7171
Size of the total moment, Bohr magnetons per cell: 0.000
Crystal system: trigonal

Record 2
The following is a PBE calculation of a relaxed structure of HOs3, from the Materials Project.

Cell: 4.1812 4.1812 4.1812 Å, 60.00 60.00 60.00°
Sites, in units of the cell vectors:
H: 0.0000 0.0000 0.0000
Os: 0.2500 0.2500 0.2500
Os: 0.5000 0.5000 0.5000
Os: 0.7500 0.7500 0.7500

Values from the calculation:
Volume, Å³/f.u.: 51.7
ρ, g cm⁻³: 18.367
E_form, meV/atom: 938
E, eV per atom: -8.3305
Size of the total moment, Bohr magnetons per cell: 0.003
Crystal system: cubic

Record 3
The following is a PBE calculation of a relaxed structure of Sr2H6Os, from the Materials Project.

Cell: 5.4146 5.4146 5.4146 Å, 60.00 60.00 60.00°
Sites, in units of the cell vectors:
Sr: 0.2500 0.2500 0.2500
Sr: 0.7500 0.7500 0.7500
H: 0.2258 0.2258 0.7742
H: 0.2258 0.7742 0.2258
H: 0.2258 0.7742 0.7742
H: 0.7742 0.2258 0.2258
H: 0.7742 0.2258 0.7742
H: 0.7742 0.7742 0.2258
Os: 0.0000 0.0000 0.0000

Values from the calculation:
Volume, Å³/f.u.: 112.2
ρ, g cm⁻³: 5.496
E_form, meV/atom: -571
E, eV per atom: -4.4561
Crystal system: cubic

Record 4
The following is a PBE calculation of a relaxed structure of SiP4H8, from the Materials Project.

Cell: 11.3026 7.6202 11.4016 Å, 90.00 100.40 90.00°
Sites, in units of the cell vectors:
Si: 0.2477 0.0601 0.3554
Si: 0.2477 0.4399 0.8554
Si: 0.7523 0.5601 0.1446
Si: 0.7523 0.9399 0.6446
P: 0.0858 0.0395 0.2052
P: 0.0858 0.4605 0.7052
P: 0.1944 0.5681 0.0185
P: 0.1944 0.9319 0.5185
P: 0.2933 0.1556 0.9069
P: 0.2933 0.3444 0.4069
P: 0.4114 0.5741 0.8044
P: 0.4114 0.9259 0.3044
P: 0.5886 0.0741 0.6956
P: 0.5886 0.4259 0.1956
P: 0.7067 0.6556 0.5931
P: 0.7067 0.8444 0.0931
P: 0.8056 0.0681 0.4815
P: 0.8056 0.4319 0.9815
P: 0.9142 0.5395 0.2948
P: 0.9142 0.9605 0.7948
H: 0.0151 0.1628 0.2576
H: 0.0151 0.3372 0.7576
H: 0.1299 0.1698 0.1337
H: 0.1299 0.3302 0.6337
H: 0.2001 0.7428 0.9738
H: 0.2001 0.7572 0.4738
H: 0.3160 0.5729 0.0816
H: 0.3160 0.9271 0.5816
H: 0.3431 0.1232 0.8021
H: 0.3431 0.3768 0.3021
H: 0.3486 0.7316 0.7632
H: 0.3486 0.7684 0.2632
H: 0.3941 0.0009 0.1875
H: 0.3941 0.4991 0.6875
H: 0.4082 0.1979 0.9768
H: 0.4082 0.3021 0.4768
H: 0.5918 0.6979 0.5232
H: 0.5918 0.8021 0.0232
H: 0.6059 0.5009 0.3125
H: 0.6059 0.9991 0.8125
H: 0.6514 0.2316 0.7368
H: 0.6514 0.2684 0.2368
H: 0.6569 0.6232 0.6979
H: 0.6569 0.8768 0.1979
H: 0.6840 0.0729 0.4184
H: 0.6840 0.4271 0.9184
H: 0.7999 0.2428 0.5262
H: 0.7999 0.2572 0.0262
H: 0.8701 0.6698 0.3663
H: 0.8701 0.8302 0.8663
H: 0.9849 0.6628 0.2424
H: 0.9849 0.8372 0.7424

Values from the calculation:
Volume, Å³/f.u.: 241.5
Energy with MP2020 corrections, eV per atom: -4.314
ρ, g cm⁻³: 1.101
E_form, meV/atom: -143
E, eV per atom: -4.2038
Crystal system: monoclinic